[1]
Material: Pr3Lu
Method: DFT, GGA-PBE
State: optimized geometry

## Properties
ΔE_f: 26.4 meV per atom
Space group: P6_3/mmc

a = 7.3440 Å, b = 7.3440 Å, c = 5.9816 Å
α = 90.00°, β = 90.00°, γ = 120.00°
Closest atoms and distances in Å follow each position.
Atoms (fractional coordinates):
Pr 0.1687 0.8313 0.2500  8 Pr 3.63-3.72, 4 Lu 3.65-3.67
Pr 0.3373 0.1687 0.7500  8 Pr 3.63-3.72, 4 Lu 3.65-3.67
Pr 0.8313 0.6627 0.7500  8 Pr 3.63-3.72, 4 Lu 3.65-3.67
Pr 0.1687 0.3373 0.2500  8 Pr 3.63-3.72, 4 Lu 3.65-3.67
Lu 0.3333 0.6667 0.7500  12 Pr 3.65-3.67
Pr 0.6627 0.8313 0.2500  8 Pr 3.63-3.72, 4 Lu 3.65-3.67
Lu 0.6667 0.3333 0.2500  12 Pr 3.65-3.67
Pr 0.8313 0.1687 0.7500  8 Pr 3.63-3.72, 4 Lu 3.65-3.67

---

[2]
Material: Sn2P5O15
Method: DFT, GGA-PBE
State: optimized geometry

## Properties
ΔE_f: -2425.8 meV per atom
M_tot: 1.0 μB/f.u.
Space group: Pc

a = 9.3506 Å, b = 5.4794 Å, c = 13.7487 Å
α = 66.98°, β = 90.00°, γ = 90.00°
Closest atoms and distances in Å follow each position.
Atoms (fractional coordinates):
O 0.1020 0.2454 0.6855  2 P 1.61-1.62
Sn 0.2874 0.9789 0.4206  3 O 2.22-2.25
O 0.0873 0.7658 0.8173  2 P 1.60-1.62
O 0.4942 0.7179 0.5749  1 P 1.51
O 0.8285 0.4218 0.4901  1 P 1.51
O 0.3550 0.2771 0.6228  2 P 1.60-1.61
O 0.6450 0.2771 0.1228  2 P 1.60-1.61
O 0.9054 0.9289 0.6736  1 P 1.51
Sn 0.7126 0.9789 0.9206  3 O 2.22-2.25
O 0.8093 0.9203 0.4554  1 P 1.51
O 0.5058 0.7179 0.0749  1 P 1.51
O 0.6103 0.6472 0.8282  1 P 1.49
O 0.5879 0.4256 0.2627  2 P 1.61-1.62
O 0.1673 0.6134 0.5141  1 P 1.50
O 0.9097 0.1168 0.8204  1 P 1.50
Sn 0.2894 0.0594 0.0721  5 O 2.16-2.30
P 0.8065 0.3240 0.0779  4 O 1.50-1.62
P 0.9884 0.0179 0.7483  4 O 1.50-1.62
O 0.1685 0.1249 0.5301  1 P 1.50
O 0.4539 0.2742 0.9568  1 P 1.52
O 0.8980 0.2454 0.1855  2 P 1.61-1.62
O 0.9127 0.7658 0.3173  2 P 1.60-1.62
Sn 0.7106 0.0594 0.5721  5 O 2.16-2.30
P 0.8028 0.7041 0.4135  4 O 1.51-1.61
P 0.5321 0.5169 0.3541  4 O 1.49-1.62
O 0.5461 0.2742 0.4568  1 P 1.52
O 0.4121 0.4256 0.7627  2 P 1.61-1.62
O 0.8327 0.6134 0.0141  1 P 1.50
P 0.1972 0.7041 0.9135  4 O 1.51-1.61
P 0.0116 0.0179 0.2483  4 O 1.50-1.62
O 0.0946 0.9289 0.1736  1 P 1.51
O 0.6116 0.2600 0.6747  1 P 1.52
O 0.3477 0.7301 0.8529  2 P 1.61-1.62
O 0.1715 0.4218 0.9901  1 P 1.51
O 0.3884 0.2600 0.1747  1 P 1.52
O 0.1907 0.9203 0.9554  1 P 1.51
O 0.0903 0.1168 0.3204  1 P 1.50
P 0.4679 0.5169 0.8541  4 O 1.49-1.62
O 0.6523 0.7301 0.3529  2 P 1.61-1.62
P 0.5204 0.4355 0.1530  4 O 1.51-1.62
P 0.4796 0.4355 0.6530  4 O 1.51-1.62
P 0.1935 0.3240 0.5779  4 O 1.50-1.62
O 0.8315 0.1249 0.0301  1 P 1.50
O 0.3897 0.6472 0.3282  1 P 1.49